Entry 1:
A plane-wave DFT calculation with GGA-PBE was carried out for an optimized crystal structure of Cs2Li5B7O14.

Results
- Crystal system: orthorhombic
- E_form: -2.71 eV/atom
- Space group: No. 40

Unit cell a=7.268 b=7.268 c=21.616 alpha=90.00 beta=90.00 gamma=144.16
Fractional positions:
1 O 0.805 0.679 0.638
2 B 0.675 0.425 0.250
3 B 0.516 0.584 0.192
4 Li 0.565 0.586 0.438
5 Li 0.992 0.161 0.507
6 Li 0.992 0.161 0.993
7 O 0.476 0.623 0.806
8 O 0.679 0.805 0.138
9 Li 0.586 0.565 0.938
10 O 0.307 0.169 0.678
11 O 0.623 0.476 0.194
12 O 0.307 0.169 0.822
13 O 0.155 0.127 0.572
14 O 0.127 0.155 0.072
15 Li 0.917 0.187 0.250
16 O 0.536 0.756 0.988
17 O 0.458 0.021 0.497
18 O 0.155 0.127 0.928
19 O 0.476 0.623 0.694
20 B 0.584 0.516 0.692
21 O 0.169 0.307 0.178
22 B 0.354 0.754 0.996
23 O 0.756 0.536 0.488
24 Cs 0.265 0.830 0.347
25 O 0.679 0.805 0.362
26 Li 0.161 0.992 0.007
27 Li 0.187 0.917 0.750
28 Li 0.161 0.992 0.493
29 O 0.756 0.536 0.012
30 O 0.726 0.571 0.750
31 B 0.003 0.096 0.372
32 O 0.169 0.307 0.322
33 B 0.516 0.584 0.308
34 O 0.330 0.775 0.750
35 B 0.354 0.754 0.504
36 Li 0.586 0.565 0.562
37 B 0.096 0.003 0.872
38 O 0.127 0.155 0.428
39 O 0.021 0.458 0.503
40 B 0.584 0.516 0.808
41 O 0.021 0.458 0.997
42 O 0.536 0.756 0.512
43 Cs 0.830 0.265 0.847
44 O 0.805 0.679 0.862
45 B 0.754 0.354 0.004
46 B 0.425 0.675 0.750
47 Cs 0.830 0.265 0.653
48 B 0.096 0.003 0.628
49 Li 0.565 0.586 0.062
50 B 0.754 0.354 0.496
51 O 0.775 0.330 0.250
52 O 0.571 0.726 0.250
53 Cs 0.265 0.830 0.153
54 O 0.458 0.021 0.003
55 B 0.003 0.096 0.128
56 O 0.623 0.476 0.306

***

Entry 2:
A plane-wave DFT calculation with GGA-PBE was carried out for an optimized crystal structure of CsLiB6O10.

Results
- Crystal system: orthorhombic
- E_form: -2.84 eV/atom
- Space group: No. 17

Unit cell a=9.255 b=10.542 c=10.565 alpha=90.00 beta=90.00 gamma=90.00
Fractional positions:
1 O 0.500 0.453 0.500
2 B 0.250 0.500 0.772
3 O 0.196 0.394 0.851
4 O 0.948 0.351 0.394
5 Cs 0.123 0.753 0.253
6 B 0.185 0.400 0.980
7 O 0.633 0.051 0.190
8 B 0.565 0.519 0.400
9 O 0.133 0.551 0.690
10 O 0.500 0.049 0.000
11 B 0.000 0.228 0.000
12 O 0.383 0.691 0.051
13 O 0.367 0.051 0.810
14 B 0.315 0.900 0.520
15 B 0.815 0.400 0.020
16 O 0.000 0.951 0.000
17 O 0.250 0.000 0.454
18 O 0.133 0.949 0.810
19 B 0.815 0.100 0.480
20 O 0.750 0.000 0.546
21 O 0.883 0.190 0.550
22 O 0.633 0.449 0.310
23 B 0.685 0.900 0.480
24 O 0.948 0.148 0.106
25 O 0.750 0.500 0.953
26 B 0.500 0.729 0.500
27 O 0.448 0.852 0.894
28 O 0.448 0.649 0.606
29 B 0.565 0.982 0.100
30 O 0.052 0.148 0.894
31 O 0.196 0.106 0.650
32 O 0.804 0.394 0.149
33 Li 0.619 0.751 0.251
34 B 0.750 0.000 0.271
35 O 0.304 0.894 0.650
36 B 0.065 0.018 0.900
37 O 0.304 0.606 0.851
38 B 0.935 0.018 0.100
39 B 0.935 0.481 0.400
40 B 0.250 0.000 0.729
41 O 0.117 0.309 0.051
42 O 0.804 0.106 0.350
43 B 0.685 0.600 0.020
44 Cs 0.877 0.753 0.747
45 O 0.617 0.691 0.949
46 O 0.552 0.649 0.394
47 B 0.185 0.100 0.520
48 Li 0.119 0.249 0.749
49 B 0.750 0.500 0.228
50 O 0.867 0.949 0.190
51 B 0.435 0.519 0.600
52 O 0.552 0.852 0.106
53 Li 0.381 0.751 0.749
54 Cs 0.377 0.247 0.253
55 B 0.315 0.600 0.980
56 B 0.065 0.481 0.600
57 O 0.383 0.810 0.450
58 O 0.696 0.606 0.149
59 O 0.052 0.351 0.606
60 B 0.435 0.982 0.900
61 O 0.867 0.551 0.310
62 O 0.000 0.547 0.500
63 O 0.696 0.894 0.350
64 O 0.367 0.449 0.690
65 O 0.117 0.190 0.450
66 Cs 0.623 0.247 0.747
67 B 0.000 0.271 0.500
68 B 0.500 0.772 0.000
69 Li 0.881 0.249 0.251
70 O 0.250 0.500 0.047
71 O 0.617 0.810 0.550
72 O 0.883 0.309 0.949

***

Entry 3:
A plane-wave DFT calculation with GGA-PBE was carried out for an optimized crystal structure of CsLiB6O10.

Results
- Crystal system: tetragonal
- E_form: -2.84 eV/atom
- Space group: No. 122

Unit cell a=8.805 b=8.805 c=8.805 alpha=106.56 beta=106.56 gamma=115.46
Fractional positions:
1 B 0.789 0.711 0.380
2 B 0.961 0.539 0.880
3 B 0.919 0.039 0.579
4 O 0.922 0.875 0.547
5 O 0.577 0.320 0.544
6 O 0.679 0.941 0.139
7 O 0.059 0.198 0.738
8 O 0.571 0.209 0.762
9 O 0.125 0.672 0.047
10 Cs 0.250 0.750 0.500
11 B 0.605 0.375 0.730
12 O 0.328 0.375 0.453
13 O 0.474 0.430 0.756
14 B 0.125 0.395 0.770
15 B 0.659 0.081 0.120
16 O 0.791 0.552 0.361
17 Cs 0.000 0.000 0.000
18 O 0.967 0.423 0.744
19 O 0.776 0.033 0.456
20 O 0.283 0.526 0.956
21 B 0.461 0.341 0.421
22 O 0.448 0.809 0.238
23 B 0.331 0.409 0.620
24 Li 0.500 0.500 0.000
25 O 0.459 0.321 0.262
26 B 0.289 0.669 0.079
27 O 0.673 0.717 0.244
28 Li 0.750 0.250 0.500
29 B 0.591 0.211 0.921
30 O 0.625 0.078 0.953
31 O 0.570 0.327 0.044
32 O 0.802 0.541 0.861
33 O 0.680 0.224 0.256
34 B 0.645 0.875 0.270
35 O 0.191 0.429 0.639
36 B 0.625 0.355 0.230

***

Entry 4:
A plane-wave DFT calculation with GGA-PBE was carried out for an optimized crystal structure of CsLiB6O10.

Results
- Crystal system: orthorhombic
- E_form: -2.84 eV/atom
- Space group: No. 24

Unit cell a=8.756 b=8.756 c=8.756 alpha=117.34 beta=105.78 gamma=105.59
Fractional positions:
1 O 0.202 0.952 0.250
2 B 0.369 0.953 0.286
3 O 0.800 0.750 0.550
4 O 0.709 0.909 0.407
5 Li 0.250 0.379 0.129
6 O 0.610 0.426 0.420
7 B 0.333 0.547 0.915
8 Li 0.750 0.121 0.371
9 Cs 0.250 0.877 0.627
10 O 0.498 0.591 0.300
11 O 0.503 0.092 0.300
12 B 0.633 0.585 0.419
13 O 0.700 0.250 0.950
14 B 0.667 0.214 0.081
15 Cs 0.750 0.623 0.873
16 O 0.298 0.548 0.750
17 B 0.167 0.083 0.214
18 O 0.791 0.199 0.200
19 B 0.476 0.226 0.250
20 O 0.506 0.189 0.080
21 B 0.976 0.250 0.226
22 B 0.524 0.750 0.274
23 O 0.292 0.203 0.200
24 O 0.994 0.074 0.684
25 O 0.997 0.297 0.590
26 O 0.392 0.818 0.312
27 O 0.494 0.682 0.074
28 O 0.108 0.420 0.426
29 B 0.131 0.417 0.585
30 O 0.006 0.080 0.188
31 B 0.867 0.286 0.953
32 O 0.002 0.301 0.093
33 O 0.890 0.311 0.816
34 B 0.024 0.274 0.750
35 B 0.833 0.915 0.547
36 O 0.208 0.408 0.910